(1)
UAl8Fe4 | the Materials Project | PBE | optimized geometry; energy of formation from the pure elements = -30.56 kJ per mole of atoms
1.0
-4.3342 4.3342 2.4998
4.3342 -4.3342 2.4998
4.3342 4.3342 -2.4998
U Al Fe
1 8 4
direct
0.0000 0.0000 0.0000
0.2814 0.5000 0.7814
0.5000 0.7186 0.2186
0.5000 0.2814 0.7814
0.7186 0.5000 0.2186
0.3424 0.0000 0.3424
0.6576 0.0000 0.6576
0.0000 0.3424 0.3424
0.0000 0.6576 0.6576
0.0000 0.5000 0.0000
0.5000 0.5000 0.5000
0.0000 0.0000 0.5000
0.5000 0.0000 0.0000

(2)
UAl4Fe8 | the Materials Project | PBE | optimized geometry; energy of formation from the pure elements = -17.37 kJ per mole of atoms; M_tot = 11.9 μB/f.u.
1.0
-2.1773 1.6798 3.9482
1.9042 -3.1597 5.3262
3.3635 4.8127 2.7392
U Al Fe
1 4 8
direct
0.0000 0.0000 0.0000
0.0000 0.3480 0.6520
0.0000 0.6520 0.3480
0.6520 0.3480 0.3480
0.3480 0.6520 0.6520
0.0000 0.0000 0.5000
0.5000 0.0000 0.5000
0.5000 0.5000 0.0000
0.0000 0.5000 0.0000
0.5000 0.7739 0.2261
0.5000 0.2261 0.7739
0.7261 0.7739 0.7739
0.2739 0.2261 0.2261

(3)
UAl9Fe3 | the Materials Project | PBE | optimized geometry; energy of formation from the pure elements = -26.27 kJ per mole of atoms
1.0
-4.0902 0.6176 -5.2969
4.6544 -4.4116 2.0106
-4.0999 -5.1117 1.3882
U Al Fe
1 9 3
direct
0.0000 0.0000 0.0000
0.4864 0.7083 0.7878
0.5136 0.2917 0.2122
0.2917 0.5136 0.2122
0.7083 0.4864 0.7878
0.9989 0.6456 0.3386
0.0011 0.3544 0.6614
0.3544 0.0011 0.6614
0.6456 0.9989 0.3386
0.0000 0.0000 0.5000
0.5000 0.5000 0.5000
0.5000 0.0000 0.0000
0.0000 0.5000 0.0000

(4)
UAl6Fe6 | the Materials Project | PBE | optimized geometry; energy of formation from the pure elements = -27.51 kJ per mole of atoms; M_tot = 10.2 μB/f.u.
1.0
6.3062 -0.1523 1.7857
-2.5078 1.4412 5.8833
-0.0575 -5.2097 -3.9794
U Al Fe
1 6 6
direct
0.0000 0.0000 0.0000
0.6513 0.6513 0.0000
0.3487 0.3487 0.0000
0.3420 0.0000 0.3420
0.6580 0.0000 0.6580
0.1995 0.6995 0.5000
0.8005 0.3005 0.5000
0.5000 0.5000 0.5000
0.5000 0.0000 0.0000
0.0000 0.5000 0.0000
0.0000 0.0000 0.5000
0.7684 0.5000 0.2684
0.2316 0.5000 0.7316

(5)
YAlFe | the Materials Project | PBE | optimized geometry; energy of formation from the pure elements = -28.45 kJ per mole of atoms; M_tot = 1.6 μB/f.u.
1.0
4.4706 2.6872 -1.0299
3.0125 1.6568 4.0556
4.4587 -7.5109 -0.2435
Y Al Fe
4 4 4
direct
0.3337 0.3337 0.5552
0.6689 0.6689 0.4269
0.6689 0.6689 0.0731
0.3337 0.3337 0.9448
0.9948 0.9948 0.4858
0.9948 0.9948 0.0142
0.8336 0.3401 0.7500
0.3401 0.8336 0.7500
0.8328 0.8328 0.7500
0.1794 0.6463 0.2500
0.6463 0.1794 0.2500
0.1730 0.1730 0.2500

(6)
YAl8Fe4 | the Materials Project | PBE | optimized geometry; energy of formation from the pure elements = -41.74 kJ per mole of atoms
1.0
-4.3498 4.3498 2.5124
4.3498 -4.3498 2.5124
4.3498 4.3498 -2.5124
Y Al Fe
1 8 4
direct
0.0000 0.0000 0.0000
0.6597 0.0000 0.6597
0.0000 0.6597 0.6597
0.0000 0.3403 0.3403
0.3403 0.0000 0.3403
0.7210 0.5000 0.2210
0.5000 0.7210 0.2210
0.5000 0.2790 0.7790
0.2790 0.5000 0.7790
0.0000 0.0000 0.5000
0.5000 0.0000 0.0000
0.0000 0.5000 0.0000
0.5000 0.5000 0.5000

(7)
YAl3Fe2 | the Materials Project | PBE | optimized geometry; energy of formation from the pure elements = -8.00 kJ per mole of atoms; M_tot = 1.9 μB/f.u.
1.0
-0.9506 -2.5220 0.3476
4.5310 -4.7917 -1.2694
1.6474 -2.7141 5.9179
Y Al Fe
1 3 2
direct
0.0000 0.1146 0.8854
0.0000 0.7148 0.2852
0.4045 0.2508 0.3474
0.5955 0.6526 0.7492
0.9417 0.4922 0.0653
0.0583 0.9347 0.5078

(8)
YAl7Fe5 | the Materials Project | PBE | optimized geometry; energy of formation from the pure elements = -38.47 kJ per mole of atoms; M_tot = 8.3 μB/f.u.
1.0
0.0000 0.0000 5.0277
-4.3183 4.3199 2.5138
-4.3183 -4.3199 -2.5138
Y Al Fe
1 7 5
direct
0.0045 0.9955 0.0045
0.6596 0.3404 0.6596
0.3373 0.6627 0.3373
0.9913 0.3520 0.3346
0.9913 0.6654 0.6480
0.2770 0.2230 0.7770
0.5045 0.7840 0.7930
0.5045 0.2070 0.2160
0.4970 0.0015 0.4993
0.0009 0.0015 0.4993
0.4970 0.5007 0.9985
0.0009 0.5007 0.9985
0.7344 0.7656 0.2344

Copy entry 7 word for word.
YAl3Fe2 | the Materials Project | PBE | optimized geometry; energy of formation from the pure elements = -8.00 kJ per mole of atoms; M_tot = 1.9 μB/f.u.
1.0
-0.9506 -2.5220 0.3476
4.5310 -4.7917 -1.2694
1.6474 -2.7141 5.9179
Y Al Fe
1 3 2
direct
0.0000 0.1146 0.8854
0.0000 0.7148 0.2852
0.4045 0.2508 0.3474
0.5955 0.6526 0.7492
0.9417 0.4922 0.0653
0.0583 0.9347 0.5078

Copy entry 4 word for word.
UAl6Fe6 | the Materials Project | PBE | optimized geometry; energy of formation from the pure elements = -27.51 kJ per mole of atoms; M_tot = 10.2 μB/f.u.
1.0
6.3062 -0.1523 1.7857
-2.5078 1.4412 5.8833
-0.0575 -5.2097 -3.9794
U Al Fe
1 6 6
direct
0.0000 0.0000 0.0000
0.6513 0.6513 0.0000
0.3487 0.3487 0.0000
0.3420 0.0000 0.3420
0.6580 0.0000 0.6580
0.1995 0.6995 0.5000
0.8005 0.3005 0.5000
0.5000 0.5000 0.5000
0.5000 0.0000 0.0000
0.0000 0.5000 0.0000
0.0000 0.0000 0.5000
0.7684 0.5000 0.2684
0.2316 0.5000 0.7316

Question: The lowest energy of formation from the pure elements belongs to which entry?
Answer: YAl8Fe4